The following is a DFT calculation (PBE) of Lu6Te2Au after structural relaxation.

POSCAR file:
```
Lu6Te2Au
1.0
21.2337 0.0000 0.0000
0.0000 4.0165 0.0000
0.0000 0.0000 11.3587
Lu Te Au
24 8 4
Direct
0.0068 0.2500 0.1109
0.0255 0.7500 0.3780
0.1086 0.2500 0.8137
0.1399 0.7500 0.0620
0.1577 0.2500 0.5300
0.2325 0.7500 0.7399
0.2675 0.2500 0.2399
0.3423 0.7500 0.0300
0.3601 0.2500 0.5620
0.3914 0.7500 0.3137
0.4745 0.2500 0.8780
0.4932 0.7500 0.6109
0.5068 0.2500 0.3891
0.5255 0.7500 0.1220
0.6086 0.2500 0.6863
0.6399 0.7500 0.4380
0.6577 0.2500 0.9700
0.7325 0.7500 0.7601
0.7675 0.2500 0.2601
0.8423 0.7500 0.4700
0.8601 0.2500 0.9380
0.8914 0.7500 0.1863
0.9745 0.2500 0.6220
0.9932 0.7500 0.8891
0.1260 0.2500 0.2677
0.2366 0.2500 0.9566
0.2634 0.7500 0.4566
0.3740 0.7500 0.7677
0.6260 0.2500 0.2323
0.7366 0.2500 0.5434
0.7634 0.7500 0.0434
0.8740 0.7500 0.7323
0.0758 0.7500 0.6319
0.4242 0.2500 0.1319
0.5758 0.7500 0.8681
0.9242 0.2500 0.3681
```

Properties
Crystal system   orthorhombic
Total DFT energy (no corrections)   -174.5 eV/cell
Formation energy   -0.77 eV per atom
Space-group type   No. 62
Magnetic moment   0.0 μB per formula unit